[1]
Below is an optimized crystal structure of AlVFe2, with properties calculated at the PBE level.

Cell and atoms, written as extended XYZ:
```
4
Lattice="0.000 2.925 2.925 2.925 0.000 2.925 2.925 2.925 0.000" Properties=species:S:1:pos:R:3 pbc="T T T"
Al 0.000 0.000 0.000
V 1.463 1.463 1.463
Fe 2.925 2.925 2.925
Fe 4.388 4.388 4.388
```

## Properties
Total DFT energy (no corrections) (eV/cell): -30.32
M_tot (μB/atom): 0.915
Formation energy (eV per atom): -0.139


[2]
Below is an optimized crystal structure of BaBe2B2O4, with properties calculated at the PBE level.

Cell and atoms, written as extended XYZ:
```
36
Lattice="0.000 6.217 6.418 5.904 0.000 6.418 5.904 6.217 0.000" Properties=species:S:1:pos:R:3 pbc="T T T"
Ba 0.000 0.000 0.000
Ba 2.952 3.109 0.000
Ba 2.952 0.000 3.209
Ba 0.000 3.109 3.209
Be 5.856 3.993 2.424
Be 3.000 5.333 2.424
Be 8.807 8.441 5.633
Be 5.856 5.333 7.204
Be 5.951 7.102 5.633
Be 3.000 3.993 7.204
Be 8.807 7.102 10.413
Be 5.951 8.441 10.413
B 3.365 3.392 3.235
B 5.490 5.933 3.235
B 5.490 3.392 6.392
B 8.442 6.501 6.444
B 3.365 5.933 6.392
B 6.317 9.042 6.444
B 6.317 6.501 9.601
B 8.442 9.042 9.601
O 4.729 3.144 3.282
O 6.258 2.547 5.602
O 9.210 5.656 7.234
O 2.597 2.547 4.025
O 6.258 6.778 4.025
O 4.127 3.144 6.345
O 4.127 6.182 3.282
O 7.079 6.252 6.491
O 4.729 6.182 6.345
O 7.680 6.252 9.554
O 7.680 9.291 6.491
O 5.549 5.656 8.811
O 9.210 9.887 8.811
O 2.597 6.778 5.602
O 5.549 9.887 7.234
O 7.079 9.291 9.554
```

## Properties
Total DFT energy (no corrections) (eV/cell): -239.40
M_tot (μB/atom): 0.000
Formation energy (eV per atom): -2.228


[3]
Below is an optimized crystal structure of Pr5Sn10Rh4, with properties calculated at the PBE level.

Cell and atoms, written as extended XYZ:
```
38
Lattice="14.274 0.000 0.000 0.000 14.274 0.000 0.000 0.000 4.655" Properties=species:S:1:pos:R:3 pbc="T T T"
Pr 0.000 0.000 0.000
Pr 1.599 5.538 2.328
Pr 2.540 9.677 2.328
Pr 4.597 2.540 2.328
Pr 5.538 12.675 2.328
Pr 7.137 7.137 0.000
Pr 8.736 1.599 2.328
Pr 9.677 11.734 2.328
Pr 11.734 4.597 2.328
Pr 12.675 8.736 2.328
Sn 0.070 11.936 2.328
Sn 0.990 8.127 0.000
Sn 2.200 2.820 0.000
Sn 2.337 0.070 2.328
Sn 2.820 12.074 0.000
Sn 4.317 4.937 0.000
Sn 4.799 7.207 2.328
Sn 4.937 9.957 0.000
Sn 6.147 0.990 0.000
Sn 7.067 4.799 2.328
Sn 7.207 9.474 2.328
Sn 8.127 13.284 0.000
Sn 9.336 4.317 0.000
Sn 9.474 7.067 2.328
Sn 9.957 9.336 0.000
Sn 11.453 2.200 0.000
Sn 11.936 14.203 2.328
Sn 12.074 11.453 0.000
Sn 13.284 6.147 0.000
Sn 14.203 2.337 2.328
Rh 0.394 10.759 0.000
Rh 3.515 0.394 0.000
Rh 3.622 7.531 0.000
Rh 6.742 3.622 0.000
Rh 7.531 10.652 0.000
Rh 10.652 6.742 0.000
Rh 10.759 13.879 0.000
Rh 13.879 3.515 0.000
```

## Properties
Total DFT energy (no corrections) (eV/cell): -214.87
Formation energy (eV per atom): -0.736


[4]
Below is an optimized crystal structure of BaCu3O4, with properties calculated at the PBE level.

Cell and atoms, written as extended XYZ:
```
8
Lattice="2.776 -5.552 0.000 2.776 5.552 0.000 0.000 0.000 4.037" Properties=species:S:1:pos:R:3 pbc="T T T"
Ba 0.000 0.000 0.000
Cu 2.776 2.802 2.019
Cu 2.776 0.000 2.019
Cu 2.776 -2.802 2.019
O 1.415 1.435 2.019
O 1.415 -1.435 2.019
O 4.137 1.435 2.019
O 4.137 -1.435 2.019
```

## Properties
Total DFT energy (no corrections) (eV/cell): -42.91
Formation energy (eV per atom): -1.457
Energy relative to the lowest polymorph listed for this composition (meV/atom): 0


[5]
Below is an optimized crystal structure of LuFe2B2, with properties calculated at the PBE level.

Cell and atoms, written as extended XYZ:
```
5
Lattice="-1.736 1.736 4.612 1.736 -1.736 4.612 1.736 1.736 -4.612" Properties=species:S:1:pos:R:3 pbc="T T T"
Lu 0.000 0.000 0.000
Fe 1.736 0.000 2.306
Fe 0.000 1.736 2.306
B 0.000 0.000 3.586
B 0.000 0.000 5.637
```

## Properties
Total DFT energy (no corrections) (eV/cell): -37.21
Formation energy (eV per atom): -0.478


[6]
Below is an optimized crystal structure of TmTl, with properties calculated at the PBE level.

Cell and atoms, written as extended XYZ:
```
2
Lattice="3.762 0.000 0.000 0.000 3.762 0.000 0.000 0.000 3.762" Properties=species:S:1:pos:R:3 pbc="T T T"
Tm 0.000 0.000 0.000
Tl 1.881 1.881 1.881
```

## Properties
Total DFT energy (no corrections) (eV/cell): -7.39
Formation energy (eV per atom): -0.278


[7]
Below is an optimized crystal structure of GaSb4Cl4, with properties calculated at the PBE level.

Cell and atoms, written as extended XYZ:
```
72
Lattice="18.301 0.000 0.000 0.000 10.132 0.000 0.000 0.000 13.523" Properties=species:S:1:pos:R:3 pbc="T T T"
Ga 0.041 0.127 0.000
Ga 3.309 5.436 10.987
Ga 5.842 0.370 4.226
Ga 9.110 5.193 6.762
Ga 9.192 4.939 0.000
Ga 12.460 9.762 10.987
Ga 14.992 4.696 4.226
Ga 18.260 10.005 6.762
Sb 0.931 5.688 2.355
Sb 1.192 5.579 5.283
Sb 1.504 3.020 3.692
Sb 3.239 3.947 1.525
Sb 3.583 3.793 5.599
Sb 3.599 6.879 2.168
Sb 3.820 9.805 10.188
Sb 3.861 6.771 5.080
Sb 5.289 1.705 11.841
Sb 5.330 4.739 3.427
Sb 5.552 1.814 8.929
Sb 5.567 8.858 12.360
Sb 5.912 9.013 8.286
Sb 7.646 8.086 10.454
Sb 7.959 0.513 12.045
Sb 8.219 0.622 9.117
Sb 10.082 9.509 2.355
Sb 10.343 9.618 5.283
Sb 10.655 2.046 3.692
Sb 12.389 1.118 1.525
Sb 12.734 1.273 5.599
Sb 12.750 8.318 2.168
Sb 12.971 5.393 10.188
Sb 13.012 8.426 5.080
Sb 14.440 3.360 11.841
Sb 14.481 0.327 3.427
Sb 14.702 3.252 8.929
Sb 14.718 6.339 12.360
Sb 15.063 6.184 8.286
Sb 16.797 7.112 10.454
Sb 17.109 4.552 12.045
Sb 17.370 4.443 9.117
Cl 0.053 9.743 4.584
Cl 0.958 1.769 7.334
Cl 1.000 8.315 7.750
Cl 2.135 0.111 0.702
Cl 2.144 6.925 12.119
Cl 2.238 3.509 10.971
Cl 3.636 6.094 8.919
Cl 3.885 0.112 5.224
Cl 5.266 5.178 11.986
Cl 5.515 1.028 2.157
Cl 6.913 8.574 4.209
Cl 7.006 1.859 5.357
Cl 7.015 5.177 7.464
Cl 8.151 3.249 0.988
Cl 8.193 6.835 0.572
Cl 9.097 4.677 11.346
Cl 9.204 5.454 4.584
Cl 10.109 3.296 7.334
Cl 10.150 6.882 7.750
Cl 11.286 4.954 0.702
Cl 11.295 8.273 12.119
Cl 11.388 1.557 10.971
Cl 12.786 9.103 8.919
Cl 13.036 4.953 5.224
Cl 14.416 10.019 11.986
Cl 14.666 4.037 2.157
Cl 16.064 6.623 4.209
Cl 16.157 3.207 5.357
Cl 16.166 10.020 7.464
Cl 17.302 1.816 0.988
Cl 17.343 8.362 0.572
Cl 18.248 0.388 11.346
```

## Properties
Total DFT energy (no corrections) (eV/cell): -259.48
M_tot (μB/atom): 0.000
Formation energy (eV per atom): -0.884


[8]
Below is an optimized crystal structure of Mg14CuC, with properties calculated at the PBE level.

Cell and atoms, written as extended XYZ:
```
16
Lattice="6.146 0.000 0.000 -3.073 5.323 0.000 0.000 0.000 9.851" Properties=species:S:1:pos:R:3 pbc="T T T"
Mg 0.000 0.000 2.445
Mg 0.000 0.000 7.406
Mg -1.473 2.698 2.496
Mg -1.473 2.698 7.354
Mg 1.526 0.881 4.925
Mg 1.537 0.888 0.000
Mg 1.473 2.698 2.496
Mg 1.473 2.698 7.354
Mg 0.000 5.249 2.496
Mg 0.000 5.249 7.354
Mg 4.609 0.888 0.000
Mg 3.073 3.548 0.000
Mg 4.620 0.881 4.925
Mg 3.073 3.561 4.925
Cu 0.000 3.548 0.000
C 0.000 3.548 4.925
```

## Properties
Total DFT energy (no corrections) (eV/cell): -31.13
M_tot (μB/atom): 0.000
Formation energy (eV per atom): 0.288
Energy relative to the lowest polymorph listed for this composition (meV/atom): 96


[9]
Below is an optimized crystal structure of HfCrAgS4, with properties calculated at the PBE level.

Cell and atoms, written as extended XYZ:
```
14
Lattice="-3.714 3.717 5.215 3.714 -3.717 5.215 3.714 3.717 -5.215" Properties=species:S:1:pos:R:3 pbc="T T T"
Hf 0.000 0.000 0.000
Hf 0.000 3.717 0.000
Cr -1.857 1.858 2.607
Cr 1.857 1.858 2.607
Ag 3.714 1.858 -1.351
Ag 0.000 1.858 6.566
S 1.741 1.858 0.166
S 1.973 -1.858 5.381
S 0.000 0.252 2.534
S 3.714 0.252 2.681
S 0.000 3.465 2.534
S 3.714 3.465 2.681
S 1.741 5.575 -0.166
S 1.973 1.858 5.048
```

## Properties
Total DFT energy (no corrections) (eV/cell): -91.21
M_tot (μB/atom): 0.429
Formation energy (eV per atom): -1.232
Energy relative to the lowest polymorph listed for this composition (meV/atom): 0


[10]
Below is an optimized crystal structure of CsVI3, with properties calculated at the PBE level.

Cell and atoms, written as extended XYZ:
```
10
Lattice="8.290 0.000 0.000 -4.145 7.179 0.000 0.000 0.000 6.964" Properties=species:S:1:pos:R:3 pbc="T T T"
Cs 0.000 4.786 1.741
Cs 4.145 2.393 5.223
V 0.000 0.000 0.000
V 0.000 0.000 3.482
I 0.000 2.273 5.223
I -2.177 6.043 5.223
I 1.968 1.136 1.741
I 2.177 6.043 5.223
I 6.322 1.136 1.741
I 4.145 4.907 1.741
```

## Properties
Total DFT energy (no corrections) (eV/cell): -38.26
Formation energy (eV per atom): -1.143


[11]
Below is an optimized crystal structure of TbSi3Rh5, with properties calculated at the PBE level.

Cell and atoms, written as extended XYZ:
```
54
Lattice="15.657 0.000 0.000 -7.828 13.559 0.000 0.000 0.000 3.887" Properties=species:S:1:pos:R:3 pbc="T T T"
Tb -3.961 9.572 0.972
Tb 1.519 5.343 0.972
Tb 5.387 1.356 2.915
Tb 2.441 12.203 0.972
Tb 6.309 8.216 2.915
Tb 11.789 3.987 2.915
Si -2.414 5.867 0.972
Si -4.937 11.789 2.915
Si 0.088 3.390 2.915
Si -1.578 9.237 2.915
Si 2.979 1.619 0.972
Si 0.618 7.574 2.915
Si -1.541 12.717 0.972
Si 3.874 5.024 2.915
Si 0.960 10.307 2.915
Si 6.869 3.252 0.972
Si 3.955 8.535 0.972
Si 9.369 0.843 2.915
Si 7.210 5.985 0.972
Si 4.849 11.940 2.915
Si 9.406 4.323 0.972
Si 7.741 10.170 0.972
Si 12.765 1.771 0.972
Si 10.243 7.692 2.915
Rh -6.492 12.026 0.972
Rh -1.432 3.676 0.972
Rh -3.041 7.302 2.915
Rh 0.660 1.924 0.972
Rh 1.996 0.391 2.915
Rh -0.842 5.619 2.915
Rh -0.973 7.745 0.972
Rh -3.929 12.961 0.972
Rh -2.541 11.479 2.915
Rh 2.468 3.078 2.915
Rh -0.635 10.529 0.972
Rh 4.445 3.539 0.972
Rh 1.607 8.844 0.972
Rh 3.025 7.275 2.915
Rh 0.016 12.542 2.915
Rh 7.813 1.018 0.972
Rh 4.803 6.284 0.972
Rh 6.221 4.715 2.915
Rh 3.383 10.020 2.915
Rh 8.463 3.030 2.915
Rh 5.361 10.481 0.972
Rh 10.370 2.080 0.972
Rh 11.757 0.598 2.915
Rh 8.801 5.814 2.915
Rh 8.671 7.940 0.972
Rh 5.832 13.169 0.972
Rh 7.169 11.635 2.915
Rh 10.869 6.257 0.972
Rh 9.260 9.883 2.915
Rh 14.321 1.533 2.915
```

## Properties
Total DFT energy (no corrections) (eV/cell): -398.34
M_tot (μB/atom): 0.000
Formation energy (eV per atom): -0.962


[12]
Below is an optimized crystal structure of LuMnRh2, with properties calculated at the PBE level.

Cell and atoms, written as extended XYZ:
```
4
Lattice="0.000 3.203 3.203 3.203 0.000 3.203 3.203 3.203 0.000" Properties=species:S:1:pos:R:3 pbc="T T T"
Lu 0.000 0.000 0.000
Mn 3.203 3.203 3.203
Rh 1.601 1.601 1.601
Rh 4.804 4.804 4.804
```

## Properties
Total DFT energy (no corrections) (eV/cell): -30.80
Formation energy (eV per atom): -0.598